Record 1
# PBE with a Hubbard U MgV2O4, optimized geometry
data_MgV2O4
_chemical_formula_sum 'Mg6 V12 O24'
_cell_length_a 6.060
_cell_length_b 6.060
_cell_length_c 14.840
_cell_angle_alpha 90.00
_cell_angle_beta 90.00
_cell_angle_gamma 120.00
_space_group_name_H-M_alt 'P 1'
_space_group_IT_number 1
_space_group_name_Hall 'P 1'
loop_
_atom_site_label
_atom_site_type_symbol
_atom_site_fract_x
_atom_site_fract_y
_atom_site_fract_z
Mg1 Mg 0.000 0.000 0.000
Mg2 Mg 0.000 0.000 0.243
Mg3 Mg 0.333 0.667 0.661
Mg4 Mg 0.667 0.333 0.329
Mg5 Mg 0.667 0.333 0.578
Mg6 Mg 0.667 0.333 0.956
V1 V 0.000 0.000 0.619
V2 V 0.167 0.335 0.452
V3 V 0.167 0.833 0.452
V4 V 0.331 0.166 0.787
V5 V 0.333 0.667 0.286
V6 V 0.333 0.667 0.911
V7 V 0.502 0.004 0.120
V8 V 0.502 0.498 0.120
V9 V 0.665 0.833 0.452
V10 V 0.834 0.166 0.787
V11 V 0.834 0.669 0.787
V12 V 0.996 0.498 0.120
O1 O 0.000 0.000 0.380
O2 O 0.000 0.000 0.860
O3 O 0.028 0.514 0.373
O4 O 0.152 0.305 0.707
O5 O 0.152 0.848 0.707
O6 O 0.181 0.361 0.200
O7 O 0.181 0.819 0.200
O8 O 0.307 0.153 0.534
O9 O 0.333 0.667 0.042
O10 O 0.333 0.667 0.526
O11 O 0.358 0.179 0.044
O12 O 0.486 0.514 0.373
O13 O 0.486 0.972 0.373
O14 O 0.509 0.018 0.866
O15 O 0.509 0.491 0.866
O16 O 0.639 0.819 0.200
O17 O 0.667 0.333 0.195
O18 O 0.667 0.333 0.715
O19 O 0.695 0.848 0.707
O20 O 0.821 0.179 0.044
O21 O 0.821 0.642 0.044
O22 O 0.847 0.153 0.534
O23 O 0.847 0.693 0.534
O24 O 0.982 0.491 0.866
# * E_tot: -7.479 eV/atom
# * relative energy among the computed polymorphs: 0 meV/atom
# * symmetry: P3m1

Record 2
# PBE with a Hubbard U CoP2O7, optimized geometry
data_CoP2O7
_chemical_formula_sum 'Co2 P4 O14'
_cell_length_a 5.155
_cell_length_b 6.758
_cell_length_c 8.278
_cell_angle_alpha 68.95
_cell_angle_beta 87.89
_cell_angle_gamma 88.46
_space_group_name_H-M_alt 'P 1'
_space_group_IT_number 1
_space_group_name_Hall 'P 1'
loop_
_atom_site_label
_atom_site_type_symbol
_atom_site_fract_x
_atom_site_fract_y
_atom_site_fract_z
Co1 Co 0.241 0.215 0.229
Co2 Co 0.759 0.785 0.771
P1 P 0.244 0.108 0.667
P2 P 0.281 0.455 0.810
P3 P 0.719 0.545 0.190
P4 P 0.756 0.892 0.333
O1 O 0.035 0.952 0.267
O2 O 0.086 0.637 0.743
O3 O 0.195 0.287 0.982
O4 O 0.281 0.129 0.479
O5 O 0.289 0.343 0.667
O6 O 0.443 0.469 0.190
O7 O 0.444 0.960 0.784
O8 O 0.556 0.040 0.216
O9 O 0.557 0.531 0.810
O10 O 0.711 0.657 0.333
O11 O 0.719 0.871 0.521
O12 O 0.805 0.713 0.018
O13 O 0.914 0.363 0.257
O14 O 0.965 0.048 0.733
# * E_tot: -6.663 eV/atom
# * relative energy among the computed polymorphs: 33 meV/atom
# * symmetry: P-1

Record 3
# PBE with a Hubbard U BaTe2Mo2H2O12, optimized geometry
data_BaTe2Mo2H2O12
_chemical_formula_sum 'Ba4 Te8 Mo8 H8 O48'
_cell_length_a 7.498
_cell_length_b 7.640
_cell_length_c 19.108
_cell_angle_alpha 90.00
_cell_angle_beta 90.00
_cell_angle_gamma 90.00
_space_group_name_H-M_alt 'P 1'
_space_group_IT_number 1
_space_group_name_Hall 'P 1'
loop_
_atom_site_label
_atom_site_type_symbol
_atom_site_fract_x
_atom_site_fract_y
_atom_site_fract_z
Ba1 Ba 0.245 0.171 0.446
Ba2 Ba 0.255 0.829 0.946
Ba3 Ba 0.745 0.329 0.554
Ba4 Ba 0.755 0.671 0.054
Te1 Te 0.015 0.882 0.604
Te2 Te 0.163 0.409 0.260
Te3 Te 0.337 0.591 0.760
Te4 Te 0.485 0.118 0.104
Te5 Te 0.515 0.618 0.396
Te6 Te 0.663 0.091 0.740
Te7 Te 0.837 0.909 0.240
Te8 Te 0.985 0.382 0.896
Mo1 Mo 0.028 0.643 0.404
Mo2 Mo 0.229 0.063 0.760
Mo3 Mo 0.271 0.937 0.260
Mo4 Mo 0.472 0.357 0.904
Mo5 Mo 0.528 0.857 0.596
Mo6 Mo 0.729 0.437 0.240
Mo7 Mo 0.771 0.563 0.740
Mo8 Mo 0.972 0.143 0.096
H1 H 0.181 0.477 0.074
H2 H 0.231 0.662 0.103
H3 H 0.269 0.338 0.603
H4 H 0.319 0.523 0.574
H5 H 0.681 0.023 0.926
H6 H 0.731 0.838 0.897
H7 H 0.769 0.162 0.397
H8 H 0.819 0.977 0.426
O1 O 0.010 0.471 0.466
O2 O 0.041 0.998 0.188
O3 O 0.048 0.849 0.305
O4 O 0.066 0.104 0.570
O5 O 0.093 0.074 0.835
O6 O 0.099 0.901 0.700
O7 O 0.151 0.807 0.448
O8 O 0.158 0.603 0.068
O9 O 0.170 0.192 0.306
O10 O 0.181 0.253 0.713
O11 O 0.200 0.231 0.095
O12 O 0.236 0.463 0.859
O13 O 0.264 0.537 0.359
O14 O 0.300 0.769 0.595
O15 O 0.319 0.747 0.213
O16 O 0.330 0.808 0.806
O17 O 0.342 0.397 0.568
O18 O 0.349 0.193 0.948
O19 O 0.401 0.099 0.200
O20 O 0.407 0.926 0.335
O21 O 0.434 0.896 0.070
O22 O 0.452 0.151 0.805
O23 O 0.459 0.002 0.688
O24 O 0.490 0.529 0.966
O25 O 0.510 0.029 0.534
O26 O 0.541 0.502 0.812
O27 O 0.548 0.651 0.695
O28 O 0.566 0.396 0.430
O29 O 0.593 0.426 0.165
O30 O 0.599 0.599 0.300
O31 O 0.651 0.693 0.552
O32 O 0.658 0.897 0.932
O33 O 0.670 0.308 0.694
O34 O 0.681 0.247 0.287
O35 O 0.700 0.269 0.905
O36 O 0.736 0.037 0.141
O37 O 0.764 0.963 0.641
O38 O 0.800 0.731 0.405
O39 O 0.819 0.753 0.787
O40 O 0.830 0.692 0.194
O41 O 0.842 0.103 0.432
O42 O 0.849 0.307 0.052
O43 O 0.901 0.401 0.800
O44 O 0.907 0.574 0.665
O45 O 0.934 0.604 0.930
O46 O 0.952 0.349 0.195
O47 O 0.959 0.498 0.312
O48 O 0.990 0.971 0.034
# * E_tot: -6.190 eV/atom
# * relative energy among the computed polymorphs: 0 meV/atom
# * symmetry: P2_12_12_1

Record 4
# PBE with a Hubbard U MgMnV4NiO12, optimized geometry
data_MgMnV4NiO12
_chemical_formula_sum 'Mg1 Mn1 V4 Ni1 O12'
_cell_length_a 5.700
_cell_length_b 6.930
_cell_length_c 7.092
_cell_angle_alpha 79.10
_cell_angle_beta 73.78
_cell_angle_gamma 70.64
_space_group_name_H-M_alt 'P 1'
_space_group_IT_number 1
_space_group_name_Hall 'P 1'
loop_
_atom_site_label
_atom_site_type_symbol
_atom_site_fract_x
_atom_site_fract_y
_atom_site_fract_z
Mg1 Mg 0.000 0.000 0.000
Mn1 Mn 0.040 0.355 0.629
V1 V 0.032 0.443 0.106
V2 V 0.056 0.890 0.510
V3 V 0.504 0.111 0.328
V4 V 0.507 0.643 0.922
Ni1 Ni 0.539 0.177 0.801
O1 O 0.047 0.653 0.617
O2 O 0.129 0.309 0.321
O3 O 0.135 0.260 0.925
O4 O 0.169 0.670 0.032
O5 O 0.376 0.879 0.401
O6 O 0.456 0.234 0.537
O7 O 0.487 0.889 0.830
O8 O 0.616 0.144 0.064
O9 O 0.628 0.470 0.749
O10 O 0.695 0.565 0.102
O11 O 0.883 0.968 0.321
O12 O 0.942 0.056 0.704
# * E_tot: -7.032 eV/atom
# * relative energy among the computed polymorphs: 89 meV/atom
# * symmetry: P1

Record 5
# PBE with a Hubbard U Ca2Cr3O8, optimized geometry
data_Ca2Cr3O8
_chemical_formula_sum 'Ca2 Cr3 O8'
_cell_length_a 6.327
_cell_length_b 6.327
_cell_length_c 5.046
_cell_angle_alpha 107.63
_cell_angle_beta 107.63
_cell_angle_gamma 56.80
_space_group_name_H-M_alt 'P 1'
_space_group_IT_number 1
_space_group_name_Hall 'P 1'
loop_
_atom_site_label
_atom_site_type_symbol
_atom_site_fract_x
_atom_site_fract_y
_atom_site_fract_z
Ca1 Ca 0.225 0.225 0.169
Ca2 Ca 0.775 0.775 0.831
Cr1 Cr 0.239 0.761 0.500
Cr2 Cr 0.500 0.500 0.000
Cr3 Cr 0.761 0.239 0.500
O1 O 0.104 0.104 0.459
O2 O 0.182 0.617 0.110
O3 O 0.383 0.818 0.890
O4 O 0.401 0.401 0.591
O5 O 0.599 0.599 0.409
O6 O 0.617 0.182 0.110
O7 O 0.818 0.383 0.890
O8 O 0.896 0.896 0.541
# * E_tot: -7.219 eV/atom
# * relative energy among the computed polymorphs: 0 meV/atom
# * symmetry: C2/m

Record 6
# PBE with a Hubbard U V2Co2Se2O11, optimized geometry
data_V2Co2Se2O11
_chemical_formula_sum 'V4 Co4 Se4 O22'
_cell_length_a 4.891
_cell_length_b 9.019
_cell_length_c 10.730
_cell_angle_alpha 90.00
_cell_angle_beta 101.16
_cell_angle_gamma 90.00
_space_group_name_H-M_alt 'P 1'
_space_group_IT_number 1
_space_group_name_Hall 'P 1'
loop_
_atom_site_label
_atom_site_type_symbol
_atom_site_fract_x
_atom_site_fract_y
_atom_site_fract_z
V1 V 0.033 0.061 0.350
V2 V 0.033 0.439 0.350
V3 V 0.967 0.561 0.650
V4 V 0.967 0.939 0.650
Co1 Co 0.458 0.572 0.133
Co2 Co 0.458 0.928 0.133
Co3 Co 0.542 0.072 0.867
Co4 Co 0.542 0.428 0.867
Se1 Se 0.114 0.250 0.047
Se2 Se 0.358 0.250 0.601
Se3 Se 0.642 0.750 0.399
Se4 Se 0.886 0.750 0.953
O1 O 0.123 0.100 0.547
O2 O 0.123 0.400 0.547
O3 O 0.178 0.250 0.350
O4 O 0.192 0.750 0.068
O5 O 0.258 0.576 0.760
O6 O 0.258 0.924 0.760
O7 O 0.262 0.540 0.287
O8 O 0.262 0.960 0.287
O9 O 0.292 0.098 0.002
O10 O 0.292 0.402 0.002
O11 O 0.329 0.250 0.756
O12 O 0.671 0.750 0.244
O13 O 0.708 0.598 0.998
O14 O 0.708 0.902 0.998
O15 O 0.738 0.040 0.713
O16 O 0.738 0.460 0.713
O17 O 0.742 0.076 0.240
O18 O 0.742 0.424 0.240
O19 O 0.808 0.250 0.932
O20 O 0.822 0.750 0.650
O21 O 0.877 0.600 0.453
O22 O 0.877 0.900 0.453
# * E_tot: -6.404 eV/atom
# * symmetry: P2_1/m

Record 7
# PBE with a Hubbard U Li4Mn2V3Sb3O16, optimized geometry
data_Li4Mn2V3Sb3O16
_chemical_formula_sum 'Li4 Mn2 V3 Sb3 O16'
_cell_length_a 6.175
_cell_length_b 6.175
_cell_length_c 10.029
_cell_angle_alpha 90.18
_cell_angle_beta 90.18
_cell_angle_gamma 59.89
_space_group_name_H-M_alt 'P 1'
_space_group_IT_number 1
_space_group_name_Hall 'P 1'
loop_
_atom_site_label
_atom_site_type_symbol
_atom_site_fract_x
_atom_site_fract_y
_atom_site_fract_z
Li1 Li 0.000 0.000 0.000
Li2 Li 0.003 0.003 0.514
Li3 Li 0.330 0.330 0.632
Li4 Li 0.666 0.666 0.104
Mn1 Mn 0.319 0.319 0.988
Mn2 Mn 0.651 0.651 0.525
V1 V 0.162 0.162 0.289
V2 V 0.330 0.823 0.791
V3 V 0.823 0.330 0.791
Sb1 Sb 0.161 0.657 0.289
Sb2 Sb 0.657 0.161 0.289
Sb3 Sb 0.824 0.824 0.790
O1 O 0.025 0.482 0.182
O2 O 0.145 0.684 0.903
O3 O 0.147 0.147 0.896
O4 O 0.299 0.836 0.395
O5 O 0.332 0.332 0.402
O6 O 0.481 0.481 0.177
O7 O 0.482 0.025 0.182
O8 O 0.511 0.511 0.679
O9 O 0.513 0.962 0.675
O10 O 0.668 0.668 0.903
O11 O 0.684 0.145 0.903
O12 O 0.836 0.299 0.395
O13 O 0.841 0.841 0.401
O14 O 0.962 0.513 0.675
O15 O 0.987 0.987 0.691
O16 O 0.989 0.989 0.184
# * E_tot: -6.700 eV/atom
# * symmetry: Cm

Record 8
# PBE with a Hubbard U Sr3Nb2CoO9, optimized geometry
data_Sr3Nb2CoO9
_chemical_formula_sum 'Sr12 Nb8 Co4 O36'
_cell_length_a 11.527
_cell_length_b 5.546
_cell_length_c 16.790
_cell_angle_alpha 90.00
_cell_angle_beta 116.96
_cell_angle_gamma 90.00
_space_group_name_H-M_alt 'P 1'
_space_group_IT_number 1
_space_group_name_Hall 'P 1'
loop_
_atom_site_label
_atom_site_type_symbol
_atom_site_fract_x
_atom_site_fract_y
_atom_site_fract_z
Sr1 Sr 0.166 0.004 0.210
Sr2 Sr 0.166 0.496 0.710
Sr3 Sr 0.177 0.008 0.564
Sr4 Sr 0.177 0.492 0.064
Sr5 Sr 0.244 0.509 0.439
Sr6 Sr 0.244 0.991 0.939
Sr7 Sr 0.756 0.009 0.061
Sr8 Sr 0.756 0.491 0.561
Sr9 Sr 0.823 0.508 0.936
Sr10 Sr 0.823 0.992 0.436
Sr11 Sr 0.834 0.504 0.290
Sr12 Sr 0.834 0.996 0.790
Nb1 Nb 0.015 0.503 0.838
Nb2 Nb 0.015 0.997 0.338
Nb3 Nb 0.496 0.507 0.826
Nb4 Nb 0.496 0.993 0.326
Nb5 Nb 0.504 0.007 0.674
Nb6 Nb 0.504 0.493 0.174
Nb7 Nb 0.985 0.003 0.662
Nb8 Nb 0.985 0.497 0.162
Co1 Co 0.000 0.000 0.000
Co2 Co 0.000 0.500 0.500
Co3 Co 0.500 0.000 0.500
Co4 Co 0.500 0.500 0.000
O1 O 0.005 0.246 0.916
O2 O 0.005 0.254 0.416
O3 O 0.030 0.708 0.269
O4 O 0.030 0.792 0.769
O5 O 0.038 0.745 0.932
O6 O 0.038 0.755 0.432
O7 O 0.178 0.051 0.710
O8 O 0.178 0.449 0.210
O9 O 0.192 0.039 0.069
O10 O 0.192 0.461 0.569
O11 O 0.211 0.056 0.391
O12 O 0.211 0.444 0.891
O13 O 0.443 0.737 0.233
O14 O 0.443 0.763 0.733
O15 O 0.449 0.705 0.069
O16 O 0.449 0.795 0.569
O17 O 0.493 0.728 0.915
O18 O 0.493 0.772 0.415
O19 O 0.507 0.228 0.585
O20 O 0.507 0.272 0.085
O21 O 0.551 0.205 0.431
O22 O 0.551 0.295 0.931
O23 O 0.557 0.237 0.267
O24 O 0.557 0.263 0.767
O25 O 0.789 0.556 0.109
O26 O 0.789 0.944 0.609
O27 O 0.808 0.539 0.431
O28 O 0.808 0.961 0.931
O29 O 0.822 0.551 0.790
O30 O 0.822 0.949 0.290
O31 O 0.962 0.245 0.568
O32 O 0.962 0.255 0.068
O33 O 0.970 0.208 0.231
O34 O 0.970 0.292 0.731
O35 O 0.995 0.746 0.584
O36 O 0.995 0.754 0.084
# * E_tot: -7.190 eV/atom
# * relative energy among the computed polymorphs: 184 meV/atom
# * symmetry: P2_1/c

Record 9
# PBE with a Hubbard U LiCrGe2O6, optimized geometry
data_LiCrGe2O6
_chemical_formula_sum 'Li4 Cr4 Ge8 O24'
_cell_length_a 9.689
_cell_length_b 8.869
_cell_length_c 5.437
_cell_angle_alpha 90.00
_cell_angle_beta 103.08
_cell_angle_gamma 90.00
_space_group_name_H-M_alt 'P 1'
_space_group_IT_number 1
_space_group_name_Hall 'P 1'
loop_
_atom_site_label
_atom_site_type_symbol
_atom_site_fract_x
_atom_site_fract_y
_atom_site_fract_z
Li1 Li 0.242 0.014 0.463
Li2 Li 0.242 0.486 0.963
Li3 Li 0.758 0.514 0.037
Li4 Li 0.758 0.986 0.537
Cr1 Cr 0.248 0.659 0.461
Cr2 Cr 0.248 0.841 0.961
Cr3 Cr 0.752 0.159 0.039
Cr4 Cr 0.752 0.341 0.539
Ge1 Ge 0.054 0.159 0.826
Ge2 Ge 0.054 0.341 0.326
Ge3 Ge 0.453 0.156 0.228
Ge4 Ge 0.453 0.344 0.728
Ge5 Ge 0.547 0.656 0.272
Ge6 Ge 0.547 0.844 0.772
Ge7 Ge 0.946 0.659 0.674
Ge8 Ge 0.946 0.841 0.174
O1 O 0.113 0.188 0.159
O2 O 0.113 0.312 0.659
O3 O 0.132 0.504 0.244
O4 O 0.132 0.996 0.744
O5 O 0.136 0.668 0.741
O6 O 0.136 0.832 0.241
O7 O 0.357 0.666 0.184
O8 O 0.357 0.834 0.684
O9 O 0.383 0.209 0.492
O10 O 0.383 0.291 0.992
O11 O 0.386 0.525 0.672
O12 O 0.386 0.975 0.172
O13 O 0.614 0.025 0.828
O14 O 0.614 0.475 0.328
O15 O 0.617 0.709 0.008
O16 O 0.617 0.791 0.508
O17 O 0.643 0.166 0.316
O18 O 0.643 0.334 0.816
O19 O 0.864 0.168 0.759
O20 O 0.864 0.332 0.259
O21 O 0.868 0.004 0.256
O22 O 0.868 0.496 0.756
O23 O 0.887 0.688 0.341
O24 O 0.887 0.812 0.841
# * E_tot: -6.677 eV/atom
# * relative energy among the computed polymorphs: 0 meV/atom
# * symmetry: P2_1/c

Record 10
# PBE with a Hubbard U Na5Mn7O16, optimized geometry
data_Na5Mn7O16
_chemical_formula_sum 'Na5 Mn7 O16'
_cell_length_a 6.210
_cell_length_b 5.978
_cell_length_c 8.811
_cell_angle_alpha 90.00
_cell_angle_beta 91.97
_cell_angle_gamma 90.00
_space_group_name_H-M_alt 'P 1'
_space_group_IT_number 1
_space_group_name_Hall 'P 1'
loop_
_atom_site_label
_atom_site_type_symbol
_atom_site_fract_x
_atom_site_fract_y
_atom_site_fract_z
Na1 Na 0.000 0.000 0.000
Na2 Na 0.235 0.500 0.119
Na3 Na 0.237 0.000 0.374
Na4 Na 0.763 0.000 0.626
Na5 Na 0.765 0.500 0.881
Mn1 Mn 0.000 0.500 0.500
Mn2 Mn 0.270 0.249 0.750
Mn3 Mn 0.270 0.751 0.750
Mn4 Mn 0.500 0.000 0.000
Mn5 Mn 0.500 0.500 0.500
Mn6 Mn 0.730 0.249 0.250
Mn7 Mn 0.730 0.751 0.250
O1 O 0.069 0.500 0.749
O2 O 0.080 0.000 0.737
O3 O 0.256 0.291 0.521
O4 O 0.256 0.709 0.521
O5 O 0.289 0.228 0.962
O6 O 0.289 0.772 0.962
O7 O 0.483 0.500 0.722
O8 O 0.484 0.000 0.771
O9 O 0.516 0.000 0.229
O10 O 0.517 0.500 0.278
O11 O 0.711 0.228 0.038
O12 O 0.711 0.772 0.038
O13 O 0.744 0.291 0.479
O14 O 0.744 0.709 0.479
O15 O 0.920 0.000 0.263
O16 O 0.931 0.500 0.251
# * E_tot: -6.459 eV/atom
# * relative energy among the computed polymorphs: 0 meV/atom
# * symmetry: P2/m